# 1
# SrCaFeP2O8 (PBE with a Hubbard U, optimized geometry)
# - energy relative to the elements (meV/atom) = -2974.9
# - E above lowest polymorph (eV per atom) = 0.0000
data_SrCaFeP2O8
_space_group_name_H-M_alt 'P 1'
_space_group_IT_number 1
_cell_length_a 5.730
_cell_length_b 6.964
_cell_length_c 9.578
_cell_angle_alpha 109.34
_cell_angle_beta 101.50
_cell_angle_gamma 98.28
loop_
_space_group_symop_operation_xyz
'x,y,z'
loop_
_atom_site_label
_atom_site_type_symbol
_atom_site_fract_x
_atom_site_fract_y
_atom_site_fract_z
O1 O 0.737 0.002 0.130
O2 O 0.977 0.266 0.402
O3 O 0.581 0.414 0.615
O4 O 0.151 0.438 0.122
O5 O 0.388 0.547 0.837
O6 O 0.044 0.904 0.310
O7 O 0.956 0.096 0.690
O8 O 0.653 0.802 0.764
O9 O 0.634 0.962 0.367
O10 O 0.612 0.453 0.163
O11 O 0.263 0.998 0.870
O12 O 0.419 0.586 0.385
O13 O 0.366 0.038 0.633
O14 O 0.347 0.198 0.236
O15 O 0.849 0.562 0.878
O16 O 0.023 0.734 0.598
Sr1 Sr 0.269 0.808 0.060
Sr2 Sr 0.731 0.192 0.940
P1 P 0.614 0.585 0.777
P2 P 0.158 0.966 0.702
P3 P 0.386 0.415 0.223
P4 P 0.842 0.034 0.298
Ca1 Ca 0.009 0.419 0.663
Ca2 Ca 0.991 0.581 0.337
Fe1 Fe 0.634 0.847 0.557
Fe2 Fe 0.366 0.153 0.443


# 2
# Sr2TiMnO6 (PBE with a Hubbard U, optimized geometry)
# - energy relative to the elements (meV/atom) = -3028.5
# - E above lowest polymorph (eV per atom) = 0.0000
data_Sr2TiMnO6
_space_group_name_H-M_alt 'P 1'
_space_group_IT_number 1
_cell_length_a 5.507
_cell_length_b 9.540
_cell_length_c 5.508
_cell_angle_alpha 73.24
_cell_angle_beta 119.99
_cell_angle_gamma 106.78
loop_
_space_group_symop_operation_xyz
'x,y,z'
loop_
_atom_site_label
_atom_site_type_symbol
_atom_site_fract_x
_atom_site_fract_y
_atom_site_fract_z
O1 O 0.376 0.624 0.129
O2 O 0.124 0.876 0.371
O3 O 0.366 0.620 0.620
O4 O 0.868 0.627 0.627
O5 O 0.634 0.380 0.380
O6 O 0.876 0.124 0.629
O7 O 0.368 0.127 0.127
O8 O 0.632 0.873 0.873
O9 O 0.134 0.880 0.880
O10 O 0.132 0.373 0.373
O11 O 0.866 0.120 0.120
O12 O 0.624 0.376 0.871
Mn1 Mn 0.000 0.000 0.000
Mn2 Mn 0.500 0.500 0.500
Sr1 Sr 0.125 0.375 0.875
Sr2 Sr 0.375 0.125 0.625
Sr3 Sr 0.875 0.625 0.125
Sr4 Sr 0.625 0.875 0.375
Ti1 Ti 0.250 0.750 0.750
Ti2 Ti 0.750 0.250 0.250


# 3
# Na3La8Ti9Mn3O36 (PBE with a Hubbard U, optimized geometry)
# - energy relative to the elements (meV/atom) = -3372.5
data_Na3La8Ti9Mn3O36
_space_group_name_H-M_alt 'P 1'
_space_group_IT_number 1
_cell_length_a 5.501
_cell_length_b 5.533
_cell_length_c 27.149
_cell_angle_alpha 89.87
_cell_angle_beta 89.84
_cell_angle_gamma 60.78
loop_
_space_group_symop_operation_xyz
'x,y,z'
loop_
_atom_site_label
_atom_site_type_symbol
_atom_site_fract_x
_atom_site_fract_y
_atom_site_fract_z
Ti1 Ti 0.676 0.662 0.333
Ti2 Ti 0.324 0.340 0.168
Ti3 Ti 0.672 0.658 0.589
Ti4 Ti 0.662 0.669 0.832
Ti5 Ti 0.342 0.321 0.668
Ti6 Ti 0.004 0.001 0.997
Ti7 Ti 0.331 0.333 0.913
Ti8 Ti 0.000 0.999 0.504
Ti9 Ti 0.999 0.995 0.748
O1 O 0.519 0.962 0.883
O2 O 0.483 0.032 0.618
O3 O 0.585 0.428 0.380
O4 O 0.829 0.354 0.283
O5 O 0.609 0.199 0.472
O6 O 0.233 0.109 0.711
O7 O 0.120 0.216 0.958
O8 O 0.967 0.516 0.634
O9 O 0.364 0.830 0.533
O10 O 0.785 0.885 0.792
O11 O 0.929 0.549 0.137
O12 O 0.776 0.881 0.291
O13 O 0.128 0.744 0.449
O14 O 0.693 0.160 0.703
O15 O 0.544 0.930 0.386
O16 O 0.866 0.270 0.050
O17 O 0.440 0.088 0.113
O18 O 0.167 0.643 0.216
O19 O 0.904 0.771 0.044
O20 O 0.374 0.807 0.031
O21 O 0.217 0.104 0.204
O22 O 0.684 0.170 0.194
O23 O 0.322 0.818 0.304
O24 O 0.460 0.537 0.625
O25 O 0.817 0.376 0.782
O26 O 0.156 0.696 0.948
O27 O 0.178 0.637 0.717
O28 O 0.040 0.480 0.866
O29 O 0.885 0.772 0.539
O30 O 0.566 0.435 0.874
O31 O 0.297 0.848 0.801
O32 O 0.051 0.473 0.367
O33 O 0.425 0.578 0.124
O34 O 0.831 0.325 0.546
O35 O 0.641 0.173 0.966
O36 O 0.105 0.235 0.460
La1 La 0.995 0.998 0.873
La2 La 0.667 0.662 0.709
La3 La 0.010 0.998 0.373
La4 La 0.334 0.330 0.547
La5 La 0.996 0.999 0.123
La6 La 0.673 0.657 0.459
La7 La 0.663 0.665 0.213
La8 La 0.333 0.341 0.037
Mn1 Mn 0.659 0.673 0.082
Mn2 Mn 0.337 0.332 0.417
Mn3 Mn 0.000 0.996 0.251
Na1 Na 0.332 0.332 0.790
Na2 Na 0.664 0.668 0.957
Na3 Na 0.334 0.340 0.294


# 4
# V3CoO8 (PBE with a Hubbard U, optimized geometry)
# - energy relative to the elements (meV/atom) = -2169.3
# - E above lowest polymorph (eV per atom) = 0.0420
data_V3CoO8
_space_group_name_H-M_alt 'P 1'
_space_group_IT_number 1
_cell_length_a 6.419
_cell_length_b 6.419
_cell_length_c 6.563
_cell_angle_alpha 73.64
_cell_angle_beta 73.64
_cell_angle_gamma 34.02
loop_
_space_group_symop_operation_xyz
'x,y,z'
loop_
_atom_site_label
_atom_site_type_symbol
_atom_site_fract_x
_atom_site_fract_y
_atom_site_fract_z
O1 O 0.640 0.640 0.990
O2 O 0.126 0.126 0.287
O3 O 0.246 0.246 0.660
O4 O 0.744 0.744 0.379
O5 O 0.867 0.867 0.689
O6 O 0.551 0.551 0.646
O7 O 0.455 0.455 0.355
O8 O 0.364 0.364 0.989
V1 V 0.703 0.703 0.702
V2 V 0.400 0.400 0.724
V3 V 0.601 0.601 0.279
Co1 Co 0.303 0.303 0.302


# 5
# Mo2HO6 (PBE with a Hubbard U, optimized geometry)
# - energy relative to the elements (meV/atom) = -1743.5
# - E above lowest polymorph (eV per atom) = 0.0044
data_Mo2HO6
_space_group_name_H-M_alt 'P 1'
_space_group_IT_number 1
_cell_length_a 3.812
_cell_length_b 3.843
_cell_length_c 8.037
_cell_angle_alpha 76.27
_cell_angle_beta 90.00
_cell_angle_gamma 90.00
loop_
_space_group_symop_operation_xyz
'x,y,z'
loop_
_atom_site_label
_atom_site_type_symbol
_atom_site_fract_x
_atom_site_fract_y
_atom_site_fract_z
O1 O 0.500 0.061 0.877
O2 O 0.000 0.203 0.571
O3 O 0.500 0.422 0.160
O4 O 0.500 0.796 0.405
O5 O 0.000 0.944 0.118
O6 O 0.000 0.591 0.815
Mo1 Mo 0.000 0.092 0.815
Mo2 Mo 0.500 0.917 0.187
H1 H 0.000 0.461 0.520


# 6
# LiVSiO4 (PBE with a Hubbard U, optimized geometry)
# - energy relative to the elements (meV/atom) = -2771.7
# - E above lowest polymorph (eV per atom) = 0.0673
data_LiVSiO4
_space_group_name_H-M_alt 'P 1'
_space_group_IT_number 1
_cell_length_a 5.165
_cell_length_b 10.323
_cell_length_c 13.629
_cell_angle_alpha 90.00
_cell_angle_beta 90.00
_cell_angle_gamma 90.00
loop_
_space_group_symop_operation_xyz
'x,y,z'
loop_
_atom_site_label
_atom_site_type_symbol
_atom_site_fract_x
_atom_site_fract_y
_atom_site_fract_z
O1 O 0.093 0.769 0.970
O2 O 0.511 0.811 0.120
O3 O 0.452 0.035 0.024
O4 O 0.489 0.189 0.620
O5 O 0.633 0.753 0.379
O6 O 0.633 0.747 0.879
O7 O 0.548 0.965 0.524
O8 O 0.886 0.504 0.628
O9 O 0.563 0.965 0.721
O10 O 0.058 0.715 0.273
O11 O 0.437 0.465 0.721
O12 O 0.058 0.785 0.773
O13 O 0.114 0.496 0.128
O14 O 0.003 0.056 0.866
O15 O 0.997 0.944 0.366
O16 O 0.907 0.231 0.470
O17 O 0.511 0.689 0.620
O18 O 0.886 0.996 0.128
O19 O 0.367 0.253 0.379
O20 O 0.489 0.311 0.120
O21 O 0.548 0.535 0.024
O22 O 0.907 0.269 0.970
O23 O 0.563 0.535 0.221
O24 O 0.437 0.035 0.221
O25 O 0.942 0.215 0.273
O26 O 0.114 0.004 0.628
O27 O 0.003 0.444 0.366
O28 O 0.452 0.465 0.524
O29 O 0.367 0.247 0.879
O30 O 0.942 0.285 0.773
O31 O 0.093 0.731 0.470
O32 O 0.997 0.556 0.866
Li1 Li 0.560 0.282 0.750
Li2 Li 0.915 0.466 0.998
Li3 Li 0.915 0.034 0.498
Li4 Li 0.085 0.534 0.498
Li5 Li 0.560 0.218 0.250
Li6 Li 0.440 0.782 0.750
Li7 Li 0.085 0.966 0.998
Li8 Li 0.440 0.718 0.250
V1 V 0.557 0.214 0.001
V2 V 0.930 0.960 0.748
V3 V 0.557 0.286 0.501
V4 V 0.443 0.786 0.501
V5 V 0.070 0.460 0.748
V6 V 0.070 0.040 0.248
V7 V 0.930 0.540 0.248
V8 V 0.443 0.714 0.001
Si1 Si 0.056 0.287 0.372
Si2 Si 0.944 0.713 0.872
Si3 Si 0.573 0.533 0.624
Si4 Si 0.573 0.967 0.124
Si5 Si 0.427 0.467 0.124
Si6 Si 0.427 0.033 0.624
Si7 Si 0.056 0.213 0.872
Si8 Si 0.944 0.787 0.372


# 7
# LiCo3OF5 (PBE with a Hubbard U, optimized geometry)
# - energy relative to the elements (meV/atom) = -2208.9
# - E above lowest polymorph (eV per atom) = 0.0076
data_LiCo3OF5
_space_group_name_H-M_alt 'P 1'
_space_group_IT_number 1
_cell_length_a 6.025
_cell_length_b 6.173
_cell_length_c 6.186
_cell_angle_alpha 92.31
_cell_angle_beta 91.39
_cell_angle_gamma 92.22
loop_
_space_group_symop_operation_xyz
'x,y,z'
loop_
_atom_site_label
_atom_site_type_symbol
_atom_site_fract_x
_atom_site_fract_y
_atom_site_fract_z
O1 O 0.092 0.672 0.937
O2 O 0.543 0.172 0.401
Co1 Co 0.931 0.453 0.758
Co2 Co 0.067 0.570 0.232
Co3 Co 0.749 0.946 0.435
Co4 Co 0.415 0.735 0.916
Co5 Co 0.555 0.244 0.100
Co6 Co 0.273 0.094 0.557
F1 F 0.414 0.543 0.199
F2 F 0.904 0.294 0.089
F3 F 0.596 0.450 0.821
F4 F 0.818 0.614 0.458
F5 F 0.456 0.803 0.601
F6 F 0.319 0.090 0.900
F7 F 0.179 0.414 0.529
F8 F 0.932 0.101 0.692
F9 F 0.078 0.928 0.322
F10 F 0.677 0.900 0.068
Li1 Li 0.507 0.493 0.498
Li2 Li 0.994 0.983 0.986


# 8
# V2P3O12 (PBE with a Hubbard U, optimized geometry)
# - energy relative to the elements (meV/atom) = -2547.8
# - E above lowest polymorph (eV per atom) = 0.0125
data_V2P3O12
_space_group_name_H-M_alt 'P 1'
_space_group_IT_number 1
_cell_length_a 8.512
_cell_length_b 8.512
_cell_length_c 8.512
_cell_angle_alpha 60.62
_cell_angle_beta 60.62
_cell_angle_gamma 60.62
loop_
_space_group_symop_operation_xyz
'x,y,z'
loop_
_atom_site_label
_atom_site_type_symbol
_atom_site_fract_x
_atom_site_fract_y
_atom_site_fract_z
O1 O 0.560 0.417 0.774
O2 O 0.302 0.131 0.500
O3 O 0.631 0.802 0.000
O4 O 0.131 0.500 0.302
O5 O 0.274 0.917 0.060
O6 O 0.500 0.302 0.131
O7 O 0.917 0.060 0.274
O8 O 0.500 0.698 0.869
O9 O 0.060 0.274 0.917
O10 O 0.583 0.226 0.440
O11 O 0.369 0.198 0.000
O12 O 0.440 0.583 0.226
O13 O 0.940 0.726 0.083
O14 O 0.869 0.500 0.698
O15 O 0.083 0.940 0.726
O16 O 0.198 0.000 0.369
O17 O 0.726 0.083 0.940
O18 O 0.802 0.000 0.631
O19 O 0.417 0.774 0.560
O20 O 0.698 0.869 0.500
O21 O 0.774 0.560 0.417
O22 O 0.000 0.631 0.802
O23 O 0.226 0.440 0.583
O24 O 0.000 0.369 0.198
V1 V 0.136 0.136 0.136
V2 V 0.864 0.864 0.864
V3 V 0.636 0.636 0.636
V4 V 0.364 0.364 0.364
P1 P 0.536 0.250 0.964
P2 P 0.464 0.750 0.036
P3 P 0.750 0.036 0.464
P4 P 0.036 0.464 0.750
P5 P 0.964 0.536 0.250
P6 P 0.250 0.964 0.536


# 9
# NiH12C4O10 (PBE with a Hubbard U, optimized geometry)
# - energy relative to the elements (meV/atom) = -741.4
data_NiH12C4O10
_space_group_name_H-M_alt 'P 1'
_space_group_IT_number 1
_cell_length_a 5.824
_cell_length_b 10.009
_cell_length_c 12.370
_cell_angle_alpha 90.00
_cell_angle_beta 90.00
_cell_angle_gamma 88.95
loop_
_space_group_symop_operation_xyz
'x,y,z'
loop_
_atom_site_label
_atom_site_type_symbol
_atom_site_fract_x
_atom_site_fract_y
_atom_site_fract_z
C1 C 0.948 0.444 0.004
C2 C 0.052 0.556 0.996
C3 C 0.838 0.335 0.012
C4 C 0.662 0.665 0.512
C5 C 0.552 0.556 0.504
C6 C 0.338 0.335 0.488
C7 C 0.162 0.665 0.988
C8 C 0.448 0.444 0.496
O1 O 0.989 0.667 0.719
O2 O 0.023 0.345 0.682
O3 O 0.212 0.103 0.004
O4 O 0.011 0.333 0.281
O5 O 0.788 0.897 0.996
O6 O 0.288 0.897 0.504
O7 O 0.244 0.232 0.477
O8 O 0.744 0.232 0.023
O9 O 0.996 0.987 0.636
O10 O 0.496 0.987 0.864
O11 O 0.004 0.013 0.364
O12 O 0.712 0.103 0.496
O13 O 0.511 0.333 0.219
O14 O 0.489 0.667 0.781
O15 O 0.477 0.655 0.182
O16 O 0.256 0.768 0.977
O17 O 0.523 0.345 0.818
O18 O 0.756 0.768 0.523
O19 O 0.977 0.655 0.318
O20 O 0.504 0.013 0.136
H1 H 0.020 0.243 0.312
H2 H 0.919 0.282 0.715
H3 H 0.419 0.282 0.785
H4 H 0.167 0.085 0.079
H5 H 0.333 0.915 0.579
H6 H 0.759 0.196 0.497
H7 H 0.581 0.718 0.215
H8 H 0.520 0.243 0.188
H9 H 0.547 0.568 0.197
H10 H 0.348 0.346 0.239
H11 H 0.667 0.085 0.421
H12 H 0.241 0.804 0.503
H13 H 0.081 0.718 0.285
H14 H 0.833 0.915 0.921
H15 H 0.980 0.757 0.688
H16 H 0.047 0.568 0.303
H17 H 0.259 0.196 0.003
H18 H 0.953 0.432 0.697
H19 H 0.652 0.654 0.761
H20 H 0.848 0.346 0.261
H21 H 0.480 0.757 0.812
H22 H 0.741 0.804 0.997
H23 H 0.453 0.432 0.803
H24 H 0.152 0.654 0.739
Ni1 Ni 0.000 0.000 0.500
Ni2 Ni 0.500 0.000 0.000


# 10
# KPrYFeO6 (PBE with a Hubbard U, optimized geometry)
# - energy relative to the elements (meV/atom) = -2460.6
data_KPrYFeO6
_space_group_name_H-M_alt 'P 1'
_space_group_IT_number 1
_cell_length_a 5.731
_cell_length_b 5.731
_cell_length_c 5.731
_cell_angle_alpha 60.00
_cell_angle_beta 60.00
_cell_angle_gamma 60.00
loop_
_space_group_symop_operation_xyz
'x,y,z'
loop_
_atom_site_label
_atom_site_type_symbol
_atom_site_fract_x
_atom_site_fract_y
_atom_site_fract_z
Pr1 Pr 0.250 0.250 0.250
O1 O 0.231 0.769 0.769
O2 O 0.231 0.231 0.769
O3 O 0.769 0.769 0.231
O4 O 0.769 0.231 0.231
O5 O 0.769 0.231 0.769
O6 O 0.231 0.769 0.231
Fe1 Fe 0.000 0.000 0.000
Y1 Y 0.500 0.500 0.500
K1 K 0.750 0.750 0.750


# 11
# LiFeSi3O8 (PBE with a Hubbard U, optimized geometry)
# - energy relative to the elements (meV/atom) = -2840.8
# - E above lowest polymorph (eV per atom) = 0.0055
data_LiFeSi3O8
_space_group_name_H-M_alt 'P 1'
_space_group_IT_number 1
_cell_length_a 7.782
_cell_length_b 7.782
_cell_length_c 14.566
_cell_angle_alpha 76.53
_cell_angle_beta 103.47
_cell_angle_gamma 60.44
loop_
_space_group_symop_operation_xyz
'x,y,z'
loop_
_atom_site_label
_atom_site_type_symbol
_atom_site_fract_x
_atom_site_fract_y
_atom_site_fract_z
O1 O 0.951 0.283 0.118
O2 O 0.235 0.314 0.380
O3 O 0.851 0.900 0.486
O4 O 0.943 0.290 0.620
O5 O 0.283 0.951 0.382
O6 O 0.290 0.943 0.880
O7 O 0.696 0.723 0.116
O8 O 0.689 0.120 0.816
O9 O 0.057 0.710 0.380
O10 O 0.723 0.696 0.384
O11 O 0.277 0.304 0.616
O12 O 0.561 0.494 0.635
O13 O 0.304 0.277 0.884
O14 O 0.100 0.149 0.986
O15 O 0.081 0.658 0.208
O16 O 0.765 0.686 0.620
O17 O 0.049 0.717 0.882
O18 O 0.658 0.081 0.292
O19 O 0.880 0.311 0.316
O20 O 0.919 0.342 0.792
O21 O 0.710 0.057 0.120
O22 O 0.149 0.100 0.514
O23 O 0.342 0.919 0.708
O24 O 0.494 0.561 0.865
O25 O 0.686 0.765 0.880
O26 O 0.311 0.880 0.184
O27 O 0.717 0.049 0.618
O28 O 0.120 0.689 0.684
O29 O 0.506 0.439 0.135
O30 O 0.439 0.506 0.365
O31 O 0.314 0.235 0.120
O32 O 0.900 0.851 0.014
Si1 Si 0.834 0.822 0.113
Si2 Si 0.456 0.796 0.836
Si3 Si 0.166 0.178 0.887
Si4 Si 0.544 0.204 0.164
Si5 Si 0.204 0.544 0.336
Si6 Si 0.829 0.864 0.894
Si7 Si 0.796 0.456 0.664
Si8 Si 0.864 0.829 0.606
Si9 Si 0.136 0.171 0.394
Si10 Si 0.822 0.834 0.387
Si11 Si 0.178 0.166 0.613
Si12 Si 0.171 0.136 0.106
Fe1 Fe 0.555 0.241 0.667
Fe2 Fe 0.241 0.555 0.833
Fe3 Fe 0.445 0.759 0.333
Fe4 Fe 0.759 0.445 0.167
Li1 Li 0.248 0.701 0.122
Li2 Li 0.299 0.752 0.622
Li3 Li 0.701 0.248 0.378
Li4 Li 0.752 0.299 0.878